Record 1
Computed, not measured: a relaxed InH5NOF4 crystal at the PBE-GGA level of DFT.

- total moment (μB per atom) = 0.000

```
InH5NOF4
1.0
5.888 0.000 0.000
1.169 6.231 0.000
0.156 2.424 6.409
In H N O F
2 10 2 2 8
direct
0.066 0.414 0.277
0.934 0.586 0.723
0.256 0.865 0.560
0.292 0.095 0.867
0.380 0.812 0.029
0.394 0.617 0.717
0.460 0.065 0.185
0.540 0.935 0.815
0.606 0.383 0.283
0.620 0.188 0.971
0.708 0.905 0.133
0.744 0.135 0.440
0.434 0.964 0.934
0.566 0.036 0.066
0.247 0.732 0.694
0.753 0.268 0.306
0.115 0.310 0.617
0.123 0.319 0.991
0.283 0.079 0.365
0.362 0.568 0.215
0.638 0.432 0.785
0.717 0.921 0.635
0.877 0.681 0.009
0.885 0.690 0.383
```

---

Record 2
Computed, not measured: a relaxed RbAl6H20N5F24 crystal at the PBE-GGA level of DFT.

- total moment (μB per atom) = 0.071
- distance to the lowest polymorph of the same formula (eV per formula unit) = 0.288

```
RbAl6H20N5F24
1.0
5.205 0.000 0.000
0.010 5.234 0.000
0.107 0.406 21.851
Rb Al H N F
1 6 20 5 24
direct
0.000 0.000 0.000
0.016 0.468 0.829
0.108 0.593 0.157
0.393 0.717 0.509
0.524 0.962 0.844
0.603 0.095 0.150
0.895 0.222 0.499
0.033 0.102 0.336
0.097 0.522 0.020
0.154 0.922 0.278
0.166 0.248 0.273
0.228 0.088 0.716
0.381 0.216 0.389
0.426 0.912 0.400
0.466 0.627 0.955
0.484 0.308 0.942
0.515 0.404 0.014
0.517 0.189 0.379
0.570 0.978 0.772
0.636 0.234 0.659
0.690 0.711 0.628
0.744 0.472 0.962
0.817 0.511 0.363
0.883 0.089 0.267
0.921 0.717 0.685
0.949 0.898 0.620
0.978 0.576 0.617
0.064 0.092 0.289
0.464 0.218 0.683
0.548 0.455 0.969
0.752 0.680 0.341
0.885 0.725 0.638
0.052 0.494 0.971
0.082 0.990 0.733
0.091 0.601 0.236
0.146 0.966 0.508
0.147 0.477 0.500
0.160 0.578 0.069
0.265 0.703 0.845
0.267 0.233 0.846
0.350 0.341 0.158
0.352 0.753 0.415
0.357 0.840 0.151
0.409 0.697 0.588
0.487 0.959 0.927
0.574 0.123 0.068
0.625 0.077 0.231
0.637 0.967 0.497
0.639 0.478 0.492
0.787 0.702 0.859
0.792 0.226 0.860
0.859 0.349 0.146
0.865 0.846 0.140
0.874 0.230 0.580
0.927 0.209 0.418
0.961 0.485 0.753
```

---

Record 3
Computed, not measured: a relaxed NdRu2 crystal at the PBE-GGA level of DFT.

```
NdRu2
1.0
0.000 3.841 3.841
3.841 0.000 3.841
3.841 3.841 0.000
Nd Ru
2 4
direct
0.125 0.125 0.125
0.875 0.875 0.875
0.000 0.500 0.500
0.500 0.000 0.500
0.500 0.500 0.000
0.500 0.500 0.500
```

---

Record 4
Computed, not measured: a relaxed Cs2NaAl3F12 crystal at the PBE-GGA level of DFT.

- total moment (μB per atom) = 0.000

```
Cs2NaAl3F12
1.0
3.573 2.063 6.181
-3.573 2.063 6.181
0.000 -4.126 6.181
Cs Na Al F
2 1 3 12
direct
0.123 0.123 0.123
0.877 0.877 0.877
0.500 0.500 0.500
0.000 0.500 0.500
0.500 0.000 0.500
0.500 0.500 0.000
0.117 0.585 0.585
0.203 0.203 0.577
0.203 0.577 0.203
0.415 0.415 0.883
0.415 0.883 0.415
0.423 0.797 0.797
0.577 0.203 0.203
0.585 0.117 0.585
0.585 0.585 0.117
0.797 0.423 0.797
0.797 0.797 0.423
0.883 0.415 0.415
```

---

Record 5
Computed, not measured: a relaxed UCo4Sn crystal at the PBE-GGA level of DFT.

- total moment (μB per atom) = 0.005

```
UCo4Sn
1.0
0.000 3.493 3.493
3.493 0.000 3.493
3.493 3.493 0.000
U Co Sn
1 4 1
direct
0.000 0.000 0.000
0.377 0.377 0.377
0.377 0.377 0.870
0.377 0.870 0.377
0.870 0.377 0.377
0.750 0.750 0.750
```

---

Record 6
Computed, not measured: a relaxed K4I2O9 crystal at the PBE-GGA level of DFT.

```
K4I2O9
1.0
6.294 0.000 0.000
-3.147 5.450 0.000
0.000 0.000 15.715
K I O
8 4 18
direct
0.000 0.000 0.000
0.000 0.000 0.250
0.000 0.000 0.500
0.000 0.000 0.750
0.333 0.667 0.091
0.333 0.667 0.409
0.667 0.333 0.591
0.667 0.333 0.909
0.333 0.667 0.657
0.333 0.667 0.843
0.667 0.333 0.157
0.667 0.333 0.343
0.067 0.534 0.750
0.186 0.373 0.602
0.186 0.373 0.898
0.186 0.814 0.602
0.186 0.814 0.898
0.373 0.186 0.102
0.373 0.186 0.398
0.466 0.534 0.750
0.466 0.933 0.750
0.534 0.067 0.250
0.534 0.466 0.250
0.627 0.814 0.602
0.627 0.814 0.898
0.814 0.186 0.102
0.814 0.186 0.398
0.814 0.627 0.102
0.814 0.627 0.398
0.933 0.466 0.250
```

---

Record 7
Computed, not measured: a relaxed V20As11 crystal at the PBE-GGA level of DFT.

- total moment (μB per atom) = 0.003

```
V20As11
1.0
2.427 -6.664 0.000
2.427 6.664 0.000
0.000 0.000 13.360
V As
20 11
direct
0.099 0.404 0.924
0.117 0.413 0.573
0.179 0.329 0.153
0.190 0.340 0.352
0.248 0.750 0.253
0.250 0.752 0.747
0.329 0.179 0.847
0.340 0.190 0.648
0.404 0.099 0.076
0.413 0.117 0.427
0.587 0.883 0.427
0.596 0.901 0.076
0.660 0.810 0.648
0.671 0.821 0.847
0.750 0.248 0.747
0.752 0.250 0.253
0.810 0.660 0.352
0.821 0.671 0.153
0.883 0.587 0.573
0.901 0.596 0.924
0.000 0.000 0.000
0.000 0.000 0.500
0.000 0.500 0.086
0.000 0.500 0.417
0.168 0.337 0.747
0.337 0.168 0.253
0.500 0.000 0.583
0.500 0.000 0.914
0.500 0.500 0.000
0.663 0.832 0.253
0.832 0.663 0.747
```

---

Record 8
Computed, not measured: a relaxed Ac3Tb crystal at the PBE-GGA level of DFT.

- total moment (μB per atom) = 0.004

```
Ac3Tb
1.0
7.813 0.000 0.000
-3.907 6.767 0.000
0.000 0.000 6.367
Ac Tb
6 2
direct
0.169 0.339 0.250
0.169 0.831 0.250
0.339 0.169 0.750
0.661 0.831 0.250
0.831 0.169 0.750
0.831 0.661 0.750
0.333 0.667 0.750
0.667 0.333 0.250
```

---

Record 9
Computed, not measured: a relaxed K3TbCl6 crystal at the PBE-GGA level of DFT.

- total moment (μB per atom) = 0.000

```
K3TbCl6
1.0
0.000 5.623 5.623
5.623 0.000 5.623
5.623 5.623 0.000
K Tb Cl
3 1 6
direct
0.000 0.000 0.000
0.250 0.250 0.250
0.750 0.750 0.750
0.500 0.500 0.500
0.265 0.265 0.735
0.265 0.735 0.265
0.265 0.735 0.735
0.735 0.265 0.265
0.735 0.265 0.735
0.735 0.735 0.265
```

---

Record 10
Computed, not measured: a relaxed KGdHf4O12 crystal at the PBE-GGA level of DFT.

- total moment (μB per atom) = 0.151

```
KGdHf4O12
1.0
11.598 0.000 0.000
0.000 5.997 5.053
0.000 -5.997 5.053
K Gd Hf O
1 1 4 12
direct
0.000 0.000 0.000
0.500 0.435 0.435
0.244 0.505 0.951
0.244 0.951 0.505
0.756 0.505 0.951
0.756 0.951 0.505
0.000 0.507 0.962
0.000 0.962 0.507
0.259 0.219 0.743
0.259 0.256 0.256
0.259 0.743 0.219
0.318 0.676 0.676
0.500 0.074 0.480
0.500 0.480 0.074
0.682 0.676 0.676
0.741 0.219 0.743
0.741 0.256 0.256
0.741 0.743 0.219
```

---

Record 11
Computed, not measured: a relaxed Sr5Ti7O19 crystal at the PBE-GGA level of DFT.

- total moment (μB per atom) = 0.000

```
Sr5Ti7O19
1.0
3.836 0.000 0.000
0.000 5.615 0.000
0.000 0.000 32.327
Sr Ti O
5 7 19
direct
0.000 0.000 0.000
0.000 0.000 0.172
0.000 0.000 0.828
0.000 0.500 0.087
0.000 0.500 0.913
0.500 0.000 0.087
0.500 0.000 0.254
0.500 0.000 0.746
0.500 0.000 0.913
0.500 0.500 0.000
0.500 0.500 0.174
0.500 0.500 0.826
0.000 0.000 0.087
0.000 0.000 0.268
0.000 0.000 0.732
0.000 0.000 0.913
0.000 0.500 0.000
0.000 0.500 0.171
0.000 0.500 0.829
0.500 0.237 0.216
0.500 0.237 0.784
0.500 0.250 0.043
0.500 0.250 0.131
0.500 0.250 0.869
0.500 0.250 0.957
0.500 0.750 0.043
0.500 0.750 0.131
0.500 0.750 0.869
0.500 0.750 0.957
0.500 0.763 0.216
0.500 0.763 0.784
```

---

Record 12
Computed, not measured: a relaxed NaPH2O4 crystal at the PBE-GGA level of DFT.

- total moment (μB per atom) = 0.000
- distance to the lowest polymorph of the same formula (eV per formula unit) = 0.255

```
NaPH2O4
1.0
6.389 0.000 0.000
-1.993 6.440 0.000
-2.204 -1.316 9.321
Na P H O
4 4 8 16
direct
0.078 0.178 0.374
0.260 0.443 0.096
0.740 0.557 0.904
0.922 0.822 0.626
0.255 0.733 0.410
0.487 0.899 0.713
0.513 0.101 0.287
0.745 0.267 0.590
0.170 0.865 0.069
0.198 0.780 0.923
0.214 0.352 0.769
0.339 0.207 0.841
0.661 0.793 0.159
0.786 0.648 0.231
0.802 0.220 0.077
0.830 0.135 0.931
0.083 0.840 0.420
0.141 0.734 0.007
0.182 0.518 0.329
0.291 0.893 0.776
0.301 0.129 0.198
0.325 0.347 0.857
0.404 0.725 0.570
0.458 0.879 0.349
0.542 0.121 0.651
0.596 0.275 0.430
0.675 0.653 0.143
0.699 0.871 0.802
0.709 0.107 0.224
0.818 0.482 0.671
0.859 0.266 0.993
0.917 0.160 0.580
```

---

Record 13
Computed, not measured: a relaxed MgTi2P2O8 crystal at the PBE-GGA level of DFT.

- total moment (μB per atom) = 0.308

```
MgTi2P2O8
1.0
8.246 -2.441 0.000
8.246 2.441 0.000
-8.188 0.000 15.415
Mg Ti P O
4 8 8 32
direct
0.011 0.659 0.851
0.341 0.989 0.649
0.659 0.011 0.351
0.989 0.341 0.149
0.000 0.500 0.000
0.111 0.692 0.536
0.115 0.885 0.750
0.308 0.889 0.964
0.500 0.000 0.500
0.692 0.111 0.036
0.885 0.115 0.250
0.889 0.308 0.464
0.013 0.554 0.644
0.286 0.677 0.387
0.323 0.714 0.113
0.446 0.987 0.856
0.554 0.013 0.144
0.677 0.286 0.887
0.714 0.323 0.613
0.987 0.446 0.356
0.080 0.772 0.425
0.100 0.462 0.727
0.132 0.631 0.651
0.137 0.765 0.296
0.161 0.285 0.571
0.186 0.640 0.050
0.197 0.317 0.886
0.228 0.920 0.075
0.235 0.863 0.204
0.285 0.161 0.071
0.317 0.197 0.386
0.341 0.583 0.881
0.360 0.814 0.450
0.369 0.868 0.849
0.417 0.659 0.619
0.462 0.100 0.227
0.538 0.900 0.773
0.583 0.341 0.381
0.631 0.132 0.151
0.640 0.186 0.550
0.659 0.417 0.119
0.683 0.803 0.614
0.715 0.839 0.929
0.765 0.137 0.796
0.772 0.080 0.925
0.803 0.683 0.114
0.814 0.360 0.950
0.839 0.715 0.429
0.863 0.235 0.704
0.868 0.369 0.349
0.900 0.538 0.273
0.920 0.228 0.575
```

---

Formation enthalpy at 0 K for every record listed, in sequence, given in eV/atom: -1.662, -2.022, -0.136, -3.655, -0.106, -1.426, -0.422, 0.065, -2.423, 0.883, -3.450, -2.118, -2.699.